Record 1
{
  "formula": "Na5Mn3F14",
  "functional": "PBE with a Hubbard U",
  "state": "relaxed",
  "dft_energy_ev_per_atom": -5.06,
  "polymorph_energy_mev_per_atom": 96,
  "magnetic_moment_mub_per_cell": 48.0,
  "lattice_angstrom": [[-6.415, -5.870, -6.048], [1.189, -8.344, 6.837], [-8.143, 3.295, 5.439]],
  "species": ["Na", "Na", "Na", "Na", "Na", "Na", "Na", "Na", "Na", "Na", "Na", "Na", "Na", "Na", "Na", "Na", "Na", "Na", "Na", "Na", "Mn", "Mn", "Mn", "Mn", "Mn", "Mn", "Mn", "Mn", "Mn", "Mn", "Mn", "Mn", "F", "F", "F", "F", "F", "F", "F", "F", "F", "F", "F", "F", "F", "F", "F", "F", "F", "F", "F", "F", "F", "F", "F", "F", "F", "F", "F", "F", "F", "F", "F", "F", "F", "F", "F", "F", "F", "F", "F", "F", "F", "F", "F", "F", "F", "F", "F", "F", "F", "F", "F", "F", "F", "F", "F", "F"],
  "fractional_positions": [[0.120, 0.479, 0.905], [0.211, 0.298, 0.631], [0.034, 0.783, 0.832], [0.160, 0.878, 0.143], [0.212, 0.539, 0.223], [0.288, 0.961, 0.723], [0.340, 0.622, 0.643], [0.466, 0.717, 0.332], [0.289, 0.202, 0.131], [0.380, 0.021, 0.405], [0.620, 0.521, 0.595], [0.711, 0.702, 0.869], [0.534, 0.217, 0.668], [0.712, 0.461, 0.277], [0.660, 0.122, 0.357], [0.840, 0.378, 0.857], [0.788, 0.039, 0.777], [0.966, 0.283, 0.168], [0.789, 0.798, 0.369], [0.880, 0.979, 0.095], [0.954, 0.523, 0.566], [0.137, 0.754, 0.480], [0.933, 0.655, 0.109], [0.567, 0.845, 0.609], [0.363, 0.746, 0.980], [0.546, 0.977, 0.066], [0.454, 0.477, 0.934], [0.637, 0.246, 0.020], [0.433, 0.345, 0.391], [0.067, 0.155, 0.891], [0.863, 0.254, 0.520], [0.046, 0.023, 0.434], [0.991, 0.503, 0.187], [0.884, 0.024, 0.362], [0.093, 0.053, 0.062], [0.122, 0.287, 0.011], [0.095, 0.145, 0.319], [0.193, 0.036, 0.534], [0.003, 0.361, 0.487], [0.181, 0.779, 0.659], [0.976, 0.132, 0.587], [0.037, 0.316, 0.776], [0.265, 0.650, 0.432], [0.191, 0.882, 0.354], [0.401, 0.828, 0.546], [0.223, 0.143, 0.808], [0.277, 0.357, 0.308], [0.099, 0.672, 0.046], [0.235, 0.850, 0.932], [0.309, 0.618, 0.854], [0.463, 0.184, 0.276], [0.524, 0.368, 0.087], [0.319, 0.721, 0.159], [0.497, 0.139, 0.987], [0.307, 0.464, 0.034], [0.405, 0.355, 0.819], [0.378, 0.213, 0.511], [0.407, 0.447, 0.562], [0.509, 0.997, 0.687], [0.616, 0.476, 0.862], [0.491, 0.497, 0.313], [0.384, 0.976, 0.138], [0.622, 0.713, 0.489], [0.593, 0.947, 0.438], [0.595, 0.855, 0.181], [0.503, 0.639, 0.013], [0.693, 0.964, 0.966], [0.681, 0.221, 0.841], [0.537, 0.684, 0.724], [0.476, 0.868, 0.913], [0.765, 0.350, 0.068], [0.691, 0.118, 0.146], [0.901, 0.172, 0.954], [0.723, 0.857, 0.692], [0.777, 0.643, 0.192], [0.599, 0.328, 0.454], [0.735, 0.150, 0.568], [0.809, 0.382, 0.646], [0.024, 0.632, 0.413], [0.963, 0.816, 0.224], [0.819, 0.279, 0.341], [0.807, 0.536, 0.466], [0.997, 0.861, 0.513], [0.905, 0.645, 0.681], [0.907, 0.553, 0.938], [0.878, 0.787, 0.989], [0.116, 0.524, 0.638], [0.009, 0.003, 0.813]]
}

Record 2
{
  "formula": "Pr2Fe2S2O3",
  "functional": "PBE with a Hubbard U",
  "state": "relaxed",
  "dft_energy_ev_per_atom": -7.00,
  "magnetic_moment_mub_per_cell": 8.0,
  "lattice_angstrom": [[-0.580, 4.032, 0.137], [-3.568, -0.449, -1.918], [-2.090, -2.660, 8.841]],
  "species": ["Pr", "Pr", "Fe", "Fe", "S", "S", "O", "O", "O"],
  "fractional_positions": [[0.317, 0.317, 0.633], [0.683, 0.683, 0.367], [0.000, 0.500, 0.000], [0.500, 0.000, 0.000], [0.904, 0.904, 0.809], [0.096, 0.096, 0.191], [0.750, 0.250, 0.500], [0.250, 0.750, 0.500], [0.500, 0.500, 0.000]]
}